(1)
# Na6Ca7GeS12O48

Crystalline Na6Ca7GeS12O48 at its relaxed geometry (PBE, the Materials Project database).

extended XYZ file:
```
222
Lattice="9.089 0.000 0.000 -0.019 15.782 0.000 -0.004 -0.022 24.055" Properties=species:S:1:pos:R:3 pbc="T T T"
Na 0.000 0.000 0.000
Na 0.001 5.308 16.026
Na 1.630 12.962 12.007
Na 2.743 10.227 22.129
Na 2.903 5.085 5.927
Na 2.965 10.199 10.021
Na 2.972 15.691 14.042
Na 3.032 5.127 18.079
Na 3.036 15.545 2.073
Na 5.809 10.494 19.974
Na 6.178 5.066 12.006
Na 7.305 2.503 21.911
Na 7.378 7.872 1.985
Na 7.412 7.992 14.032
Na 7.436 12.956 5.922
Na 7.517 2.299 10.000
Na 7.512 12.998 17.883
Na 8.701 5.097 23.975
Ca 2.799 10.276 18.295
Ca 2.847 5.066 9.471
Ca 2.892 10.345 6.308
Ca 2.930 5.040 21.586
Ca 2.921 10.332 1.678
Ca 2.937 5.049 14.352
Ca 2.933 10.294 13.679
Ca 2.928 15.671 10.394
Ca 2.953 5.091 2.400
Ca 2.977 15.553 22.430
Ca 7.340 2.456 1.801
Ca 7.370 12.971 14.417
Ca 7.383 12.956 9.478
Ca 7.416 7.722 17.638
Ca 7.414 12.904 2.406
Ca 7.432 7.739 22.370
Ca 7.459 2.458 6.303
Ca 7.453 2.444 18.389
Ca 7.472 2.239 13.712
Ca 7.476 12.999 21.601
Ca 7.497 7.776 10.396
Ge 2.898 15.582 5.653
Ge 2.922 15.552 17.693
Ge 7.441 7.726 5.640
S 0.052 10.180 4.108
S 0.114 5.042 12.023
S 0.325 15.564 19.904
S 0.936 7.686 7.827
S 1.077 12.966 24.021
S 1.180 2.305 16.104
S 1.493 2.679 24.032
S 1.486 7.877 15.967
S 1.530 7.405 24.012
S 1.588 12.910 16.090
S 1.588 13.364 7.887
S 1.635 2.053 7.829
S 4.173 2.034 19.865
S 4.179 12.890 4.113
S 4.225 13.302 19.860
S 4.273 7.416 11.932
S 4.302 2.735 11.969
S 4.462 7.945 4.115
S 4.579 2.287 4.124
S 4.656 12.953 11.957
S 4.691 7.722 19.981
S 5.480 15.576 7.833
S 5.666 10.335 16.056
S 5.687 5.033 24.005
S 5.887 0.035 16.154
S 6.034 10.573 23.953
S 6.120 4.804 15.939
S 6.121 15.338 24.036
S 6.146 5.478 7.885
S 6.164 9.957 7.837
S 8.750 5.004 4.056
S 8.788 10.106 20.003
S 8.798 15.287 11.952
S 8.826 5.283 20.001
S 8.832 10.642 11.985
S 9.009 0.037 4.051
O 9.083 2.601 0.084
O 0.002 7.701 16.017
O 0.018 7.541 6.584
O 0.031 7.453 23.939
O 0.113 13.257 7.859
O 0.129 13.113 16.007
O 0.142 7.794 9.040
O 0.177 2.166 7.684
O 0.207 13.141 1.151
O 0.274 12.855 22.790
O 0.296 2.489 17.258
O 0.413 2.079 14.866
O 0.822 9.974 2.869
O 0.885 5.141 13.281
O 0.905 10.342 5.274
O 0.993 4.962 10.844
O 1.083 15.673 21.154
O 1.127 5.193 3.962
O 1.160 10.315 19.923
O 1.216 5.144 20.032
O 1.209 15.343 11.895
O 1.246 10.589 12.057
O 1.281 15.409 18.680
O 1.432 15.729 4.245
O 1.760 6.458 7.822
O 1.765 8.891 7.692
O 1.797 3.467 22.826
O 1.820 8.653 14.767
O 1.849 6.610 1.156
O 1.875 14.242 23.949
O 1.925 1.303 9.041
O 1.919 12.050 17.224
O 1.938 14.263 6.663
O 1.981 8.524 17.188
O 1.974 11.817 0.079
O 2.006 3.539 15.969
O 2.018 1.288 23.928
O 2.035 3.351 1.185
O 2.049 6.753 22.796
O 2.068 1.078 16.295
O 2.068 6.494 15.913
O 2.062 13.970 9.131
O 2.093 8.794 0.069
O 2.125 12.393 14.813
O 2.231 1.338 6.587
O 2.225 12.052 7.717
O 2.281 3.382 7.834
O 2.282 14.290 16.296
O 3.494 14.278 4.286
O 3.540 3.364 19.857
O 3.598 1.314 18.617
O 3.606 12.337 2.874
O 3.642 11.958 19.703
O 3.671 3.450 3.990
O 3.710 8.783 12.014
O 3.703 13.933 21.065
O 3.740 1.000 4.296
O 3.737 1.374 11.906
O 3.748 11.757 12.022
O 3.746 14.147 11.905
O 3.759 6.742 10.723
O 3.784 3.382 13.187
O 3.802 6.541 20.054
O 3.863 1.281 21.072
O 3.888 12.073 5.278
O 3.894 8.609 5.276
O 3.898 9.001 19.922
O 3.922 6.571 3.990
O 3.904 14.168 18.622
O 3.973 3.540 10.769
O 3.970 6.623 13.143
O 4.264 8.714 2.873
O 4.324 15.721 16.332
O 4.556 10.462 0.006
O 4.568 15.423 6.585
O 4.657 4.995 15.901
O 4.671 5.363 7.863
O 4.659 15.534 23.964
O 4.677 15.689 9.040
O 4.706 10.071 7.693
O 4.777 10.272 14.882
O 4.864 5.144 1.166
O 4.869 4.913 22.791
O 4.878 10.408 17.314
O 5.328 2.065 2.870
O 5.456 2.455 5.267
O 5.476 12.857 10.742
O 5.477 13.061 13.170
O 5.510 7.607 18.767
O 5.545 7.846 21.179
O 5.637 2.135 19.739
O 5.638 13.106 3.986
O 5.705 13.172 19.885
O 5.773 7.473 11.868
O 5.802 2.676 12.046
O 6.006 7.853 4.284
O 6.055 0.790 14.902
O 6.325 0.999 7.690
O 6.305 14.349 7.833
O 6.340 11.290 22.680
O 6.419 14.455 16.026
O 6.462 0.711 17.309
O 6.446 14.569 1.183
O 6.468 3.989 17.116
O 6.458 9.200 9.044
O 6.495 6.379 6.666
O 6.515 9.118 16.039
O 6.528 11.549 15.993
O 6.567 11.333 1.064
O 6.580 6.230 23.939
O 6.605 3.856 0.031
O 6.618 6.079 9.135
O 6.629 4.148 14.697
O 6.641 14.687 22.813
O 6.665 9.226 23.947
O 6.755 9.250 6.587
O 6.785 4.165 7.717
O 6.814 11.286 7.842
O 6.826 6.118 16.027
O 6.852 0.905 0.067
O 8.064 6.372 4.245
O 8.058 11.421 20.062
O 8.181 3.933 19.982
O 8.213 4.461 2.779
O 8.217 11.331 3.986
O 8.258 0.872 12.028
O 8.257 9.432 18.803
O 8.276 9.277 11.922
O 8.304 3.840 12.059
O 8.292 8.890 4.277
O 8.287 14.627 10.736
O 8.304 6.239 11.932
O 8.321 11.303 13.202
O 8.344 5.974 21.221
O 8.423 0.754 5.173
O 8.422 4.140 5.179
O 8.432 14.453 3.955
O 8.474 6.029 18.768
O 8.475 14.501 13.164
O 8.488 9.334 21.218
O 8.509 11.431 10.772
O 8.578 14.349 19.877
O 8.620 0.990 19.732
O 8.814 0.773 2.771
```

Output
**Electronic total energy**: -6.172 eV/atom
**Calculated density**: 2373 kg/m³
**ΔH_f (0 K)**: -2378.2 meV per atom
**Crystal system**: triclinic



(2)
# Na14Ca4Si7Ge4S5O48

Crystalline Na14Ca4Si7Ge4S5O48 at its relaxed geometry (PBE, the Materials Project database).

extended XYZ file:
```
246
Lattice="9.146 0.000 0.000 0.007 15.851 0.000 0.027 0.487 22.290" Properties=species:S:1:pos:R:3 pbc="T T T"
Na 0.000 0.000 0.000
Na 0.013 5.534 7.249
Na 0.042 0.726 14.785
Na 0.196 11.541 7.125
Na 1.186 3.917 18.308
Na 1.291 13.621 18.500
Na 1.351 8.366 3.805
Na 1.417 8.142 10.982
Na 1.603 13.566 3.751
Na 1.731 3.312 11.107
Na 2.014 8.616 18.636
Na 2.868 6.299 20.457
Na 2.952 11.264 16.470
Na 2.961 0.477 1.784
Na 2.972 0.722 12.786
Na 3.073 11.027 5.393
Na 3.094 6.018 9.279
Na 4.228 8.383 7.438
Na 4.230 3.109 0.038
Na 4.420 13.860 14.605
Na 4.550 8.572 22.147
Na 4.654 8.907 14.534
Na 4.693 13.939 0.199
Na 4.716 13.420 7.429
Na 4.836 3.612 7.092
Na 5.831 11.607 18.265
Na 5.846 5.765 18.572
Na 5.885 6.289 10.951
Na 5.906 0.737 3.572
Na 6.034 0.430 10.847
Na 6.155 5.663 3.683
Na 6.323 11.274 11.026
Na 6.485 0.807 18.508
Na 7.520 3.422 16.501
Na 7.571 8.399 1.708
Na 7.588 8.635 12.865
Na 7.589 3.241 5.431
Na 7.653 14.164 20.648
Na 7.694 13.944 9.238
Na 8.516 0.476 7.510
Na 8.800 10.920 0.080
Na 8.935 5.913 14.729
Ca 2.949 5.831 5.621
Ca 2.965 6.080 16.951
Ca 2.984 5.848 12.695
Ca 2.990 11.245 20.010
Ca 3.020 11.272 8.836
Ca 3.044 0.799 20.923
Ca 7.517 8.477 9.711
Ca 7.535 3.598 20.009
Ca 7.558 3.178 8.752
Ca 7.578 13.759 5.813
Ca 7.605 13.498 1.606
Ca 7.676 13.967 16.662
Si 0.197 5.565 3.597
Si 1.234 13.749 14.792
Si 1.490 8.834 22.139
Si 1.583 3.451 14.790
Si 1.688 13.686 22.207
Si 1.690 14.175 7.208
Si 4.298 8.923 11.098
Si 4.297 3.340 3.574
Si 4.311 8.259 3.497
Si 4.552 13.615 11.036
Si 5.038 8.716 18.522
Si 5.516 0.533 7.370
Si 6.011 5.916 22.172
Si 6.190 6.166 7.246
Si 6.239 11.522 14.756
Si 6.246 0.565 14.702
Si 6.295 1.223 22.215
Si 8.866 6.494 18.364
Si 8.913 11.071 3.667
Si 8.924 5.541 11.087
Si 9.053 0.695 11.000
Ge 2.496 10.677 2.053
Ge 2.963 16.047 9.641
Ge 3.000 5.791 1.555
Ge 3.078 0.608 15.836
Ge 3.060 0.630 5.127
Ge 3.213 11.464 13.181
Ge 7.320 3.279 2.051
Ge 7.439 8.165 4.685
Ge 7.485 8.773 16.239
Ge 7.560 13.963 12.689
Ge 7.588 8.351 20.812
Ge 7.996 3.017 13.176
S 0.320 11.334 11.137
S 0.345 0.752 18.413
S 1.127 3.616 22.230
S 1.118 8.480 7.291
S 1.496 8.559 14.796
S 1.731 2.744 7.332
S 4.324 2.971 18.313
S 4.346 14.366 18.329
S 4.618 13.728 3.660
S 4.860 3.205 11.010
S 5.757 11.394 22.098
S 5.925 6.074 14.852
S 6.227 10.734 7.226
S 8.851 10.953 18.456
S 9.043 0.386 3.612
O 0.056 13.368 0.051
O 0.081 14.051 7.286
O 0.107 3.071 1.023
O 0.252 2.805 7.289
O 0.253 8.456 6.098
O 0.347 8.515 8.551
O 0.495 3.714 20.887
O 0.686 13.507 16.271
O 0.777 5.337 5.065
O 0.949 11.473 9.808
O 1.133 0.733 19.651
O 1.191 11.079 18.402
O 1.210 0.695 17.203
O 1.316 11.282 12.231
O 1.330 6.356 18.451
O 1.382 5.722 11.194
O 1.384 0.488 3.719
O 1.427 5.914 2.534
O 1.460 10.859 3.514
O 1.590 0.699 10.823
O 1.587 9.459 1.091
O 1.676 4.465 16.037
O 1.754 7.660 13.646
O 1.886 1.850 0.009
O 1.957 13.000 20.770
O 1.967 7.251 7.346
O 1.968 9.710 7.199
O 2.029 15.017 8.600
O 2.037 4.270 0.054
O 2.089 7.973 16.027
O 2.083 1.983 6.070
O 2.112 9.885 14.641
O 2.160 1.880 15.015
O 2.194 3.900 13.396
O 2.226 2.081 8.549
O 2.214 6.952 0.265
O 2.243 15.145 14.805
O 2.234 15.043 5.864
O 2.283 9.313 20.833
O 2.278 12.505 14.408
O 2.324 4.093 7.283
O 2.334 12.227 1.191
O 2.411 14.627 0.155
O 2.437 12.742 7.116
O 3.529 7.930 4.853
O 3.639 1.776 3.736
O 3.631 4.124 2.272
O 3.666 9.403 9.699
O 3.710 9.943 12.383
O 3.723 4.322 18.197
O 3.721 13.017 18.310
O 3.715 9.726 2.967
O 3.727 12.566 3.645
O 3.764 7.408 11.310
O 3.787 15.006 3.651
O 3.829 15.040 17.058
O 3.833 12.923 12.353
O 3.839 15.122 10.981
O 3.879 2.430 19.593
O 3.923 2.039 11.063
O 3.940 2.077 17.177
O 3.995 15.134 19.505
O 4.082 4.468 11.160
O 4.093 10.035 18.424
O 4.083 7.066 2.354
O 4.174 7.348 18.582
O 4.304 4.218 4.899
O 4.359 5.608 0.168
O 4.450 12.755 9.696
O 4.498 0.507 8.723
O 4.567 0.583 14.802
O 4.573 6.027 7.177
O 4.595 11.275 14.470
O 4.623 0.648 5.954
O 4.645 0.793 0.108
O 4.735 10.838 7.178
O 4.729 10.744 0.860
O 5.088 6.199 13.650
O 5.099 6.033 16.068
O 5.115 11.502 20.760
O 5.448 13.835 2.441
O 5.478 13.694 4.853
O 5.510 3.281 9.696
O 5.812 3.110 18.264
O 5.826 14.250 18.288
O 5.849 3.021 12.093
O 5.911 9.021 11.288
O 5.947 8.862 17.126
O 5.944 3.059 3.288
O 5.973 8.300 3.568
O 6.067 8.710 19.864
O 6.109 5.086 20.810
O 6.180 13.792 11.338
O 6.239 12.374 16.114
O 6.379 15.009 7.433
O 6.460 1.833 7.266
O 6.477 15.210 13.580
O 6.479 6.997 8.588
O 6.551 12.649 22.257
O 6.676 10.217 22.149
O 6.657 9.882 6.112
O 6.681 10.239 8.539
O 6.715 7.431 22.132
O 6.712 4.709 1.163
O 6.769 7.357 14.838
O 6.793 12.111 7.127
O 6.818 4.911 14.823
O 6.826 7.005 5.855
O 6.828 15.072 0.156
O 6.854 2.024 14.198
O 6.866 1.669 20.768
O 6.854 1.787 1.149
O 6.903 9.965 14.891
O 6.931 12.345 13.497
O 6.961 4.742 7.088
O 6.988 16.072 16.086
O 8.117 5.054 18.287
O 8.183 6.972 11.321
O 8.223 12.306 18.420
O 8.233 4.602 12.419
O 8.237 1.184 9.716
O 8.284 4.311 3.234
O 8.323 7.369 17.037
O 8.314 11.511 2.256
O 8.334 15.132 11.433
O 8.364 9.512 3.939
O 8.366 6.962 3.552
O 8.402 10.293 19.684
O 8.406 1.703 3.452
O 8.443 15.629 4.822
O 8.492 10.184 17.214
O 8.529 7.339 19.752
O 8.521 12.481 11.281
O 8.596 15.402 18.460
O 8.678 2.003 18.326
O 8.671 4.746 9.722
O 8.686 10.062 11.194
O 8.818 15.342 2.446
O 8.845 12.150 4.865
O 8.935 1.760 12.293
O 8.956 8.853 21.972
O 9.056 3.202 14.661
O 9.136 14.142 13.767
O 9.146 8.646 14.881
```

Output
**Electronic total energy**: -6.241 eV/atom
**Calculated density**: 2925 kg/m³
**ΔH_f (0 K)**: -2481.9 meV per atom
**Crystal system**: triclinic